Record 1
Li5V3P8O29 (GGA+U, relaxed); energy relative to the lowest polymorph listed for this composition = 0.6 kJ per mole of atoms; crystal system = monoclinic; calculated total energy = -632.45 eV/cell; energy of formation = -2.61 eV/atom
1.0
4.887 8.470 0.000
-4.887 8.470 0.000
0.000 0.078 14.077
Li V P O
10 6 16 58
direct
0.334 0.763 0.941
0.336 0.903 0.440
0.763 0.334 0.441
0.903 0.336 0.940
0.764 0.899 0.940
0.899 0.764 0.440
0.235 0.666 0.560
0.666 0.235 0.060
0.044 0.979 0.005
0.979 0.044 0.505
0.003 0.434 0.749
0.000 0.563 0.248
0.434 0.003 0.249
0.563 0.000 0.748
0.435 0.564 0.754
0.564 0.435 0.254
0.314 0.775 0.159
0.311 0.911 0.655
0.775 0.314 0.659
0.669 0.666 0.869
0.666 0.669 0.369
0.911 0.311 0.155
0.082 0.220 0.338
0.773 0.913 0.158
0.220 0.082 0.838
0.913 0.773 0.658
0.084 0.693 0.842
0.332 0.336 0.631
0.336 0.332 0.131
0.226 0.684 0.340
0.693 0.084 0.342
0.684 0.226 0.840
0.230 0.768 0.429
0.336 0.741 0.667
0.201 0.990 0.918
0.343 0.917 0.171
0.467 0.618 0.169
0.512 0.674 0.832
0.618 0.467 0.669
0.768 0.230 0.929
0.741 0.336 0.167
0.511 0.813 0.327
0.470 0.905 0.669
0.674 0.512 0.332
0.675 0.661 0.975
0.661 0.675 0.475
0.813 0.511 0.827
0.616 0.912 0.173
0.674 0.812 0.827
0.917 0.343 0.671
0.013 0.194 0.240
0.990 0.201 0.418
0.981 0.227 0.062
0.905 0.470 0.169
0.812 0.674 0.327
0.082 0.257 0.840
0.912 0.616 0.673
0.746 0.911 0.661
0.194 0.013 0.740
0.227 0.981 0.562
0.799 0.988 0.424
0.257 0.082 0.340
0.074 0.381 0.330
0.911 0.746 0.161
0.186 0.333 0.682
0.079 0.537 0.831
0.988 0.799 0.924
0.000 0.768 0.566
0.013 0.789 0.743
0.083 0.659 0.341
0.333 0.186 0.182
0.381 0.074 0.830
0.194 0.478 0.177
0.342 0.318 0.026
0.318 0.342 0.526
0.326 0.487 0.669
0.537 0.079 0.331
0.478 0.194 0.677
0.256 0.658 0.845
0.201 0.793 0.248
0.226 0.796 0.068
0.381 0.526 0.326
0.487 0.326 0.169
0.526 0.381 0.826
0.659 0.083 0.841
0.768 0.000 0.066
0.789 0.013 0.243
0.658 0.256 0.345
0.796 0.226 0.568
0.793 0.201 0.748



Record 2
LiVP4O12 (GGA+U, relaxed); energy relative to the lowest polymorph listed for this composition = 1.8 kJ per mole of atoms; crystal system = monoclinic; calculated total energy = -259.69 eV/cell; energy of formation = -2.65 eV/atom
1.0
-0.583 -5.811 4.302
5.878 -0.599 4.207
-1.706 2.291 9.672
Li V P O
2 2 8 24
direct
0.000 0.500 0.000
0.500 0.000 0.500
0.556 0.444 0.250
0.444 0.556 0.750
0.751 0.229 0.978
0.789 0.809 0.199
0.191 0.211 0.301
0.771 0.249 0.522
0.229 0.751 0.478
0.809 0.789 0.699
0.211 0.191 0.801
0.249 0.771 0.022
0.770 0.312 0.088
0.310 0.150 0.654
0.380 0.230 0.320
0.966 0.198 0.850
0.716 0.000 0.062
0.588 0.348 0.902
0.000 0.284 0.438
0.150 0.310 0.154
0.312 0.770 0.588
0.652 0.412 0.598
0.770 0.620 0.180
0.198 0.966 0.350
0.802 0.034 0.650
0.230 0.380 0.820
0.348 0.588 0.402
0.688 0.230 0.412
0.850 0.690 0.846
0.000 0.716 0.562
0.412 0.652 0.098
0.284 0.000 0.938
0.034 0.802 0.150
0.620 0.770 0.680
0.690 0.850 0.346
0.230 0.688 0.912



Record 3
LiVP2O7 (GGA+U, relaxed); crystal system = triclinic; calculated total energy = -318.37 eV/cell; energy of formation = -2.70 eV/atom
1.0
5.294 4.269 -3.447
-7.759 0.010 -6.344
-5.256 4.177 3.390
Li V P O
4 4 8 28
direct
0.053 0.730 0.120
0.554 0.230 0.623
0.948 0.270 0.878
0.446 0.771 0.377
0.693 0.501 0.183
0.307 0.499 0.817
0.194 0.001 0.682
0.807 0.999 0.318
0.287 0.474 0.234
0.788 0.973 0.735
0.211 0.027 0.265
0.713 0.526 0.767
0.968 0.697 0.521
0.467 0.197 0.020
0.533 0.803 0.980
0.033 0.303 0.480
0.694 0.853 0.879
0.191 0.353 0.376
0.809 0.647 0.624
0.305 0.147 0.120
0.501 0.641 0.001
0.001 0.141 0.501
0.000 0.859 0.499
0.500 0.359 0.999
0.240 0.885 0.256
0.742 0.385 0.758
0.258 0.615 0.242
0.760 0.115 0.743
0.185 0.431 0.028
0.685 0.930 0.530
0.999 0.948 0.820
0.497 0.448 0.320
0.503 0.552 0.680
0.001 0.052 0.179
0.314 0.070 0.470
0.815 0.569 0.972
0.388 0.157 0.818
0.886 0.657 0.319
0.150 0.641 0.649
0.648 0.140 0.152
0.352 0.860 0.848
0.850 0.359 0.351
0.114 0.343 0.682
0.612 0.843 0.182



Record 4
LiVP2O8 (GGA+U, relaxed); energy relative to the lowest polymorph listed for this composition = 7.0 kJ per mole of atoms; crystal system = monoclinic; calculated total energy = -167.93 eV/cell; energy of formation = -2.48 eV/atom; largest piezoelectric modulus = 2.111 C/m2
1.0
-0.086 -7.022 2.565
3.867 1.082 3.091
-4.381 2.209 5.902
Li V P O
2 2 4 16
direct
0.124 0.659 0.831
0.624 0.341 0.169
0.011 0.259 0.253
0.511 0.741 0.747
0.189 0.714 0.457
0.689 0.286 0.543
0.314 0.195 0.954
0.814 0.805 0.046
0.140 0.970 0.329
0.183 0.486 0.331
0.554 0.332 0.402
0.882 0.244 0.473
0.382 0.756 0.527
0.054 0.668 0.598
0.640 0.030 0.671
0.683 0.514 0.669
0.310 0.961 0.835
0.361 0.454 0.829
0.942 0.857 0.900
0.622 0.730 0.976
0.122 0.270 0.024
0.442 0.143 0.100
0.810 0.039 0.165
0.861 0.546 0.171



Record 5
LiVP4O12 (GGA+U, relaxed); energy relative to the lowest polymorph listed for this composition = 3.3 kJ per mole of atoms; crystal system = monoclinic; calculated total energy = -259.13 eV/cell; energy of formation = -2.64 eV/atom
1.0
-3.928 -5.691 1.195
5.453 -1.736 -4.062
5.307 -2.277 7.756
Li V P O
2 2 8 24
direct
0.832 0.168 0.250
0.168 0.832 0.750
0.111 0.889 0.250
0.889 0.111 0.750
0.730 0.375 0.966
0.270 0.625 0.034
0.625 0.270 0.534
0.375 0.730 0.466
0.202 0.280 0.471
0.720 0.798 0.029
0.798 0.720 0.529
0.280 0.202 0.971
0.728 0.282 0.104
0.851 0.893 0.149
0.718 0.272 0.396
0.786 0.618 0.970
0.352 0.868 0.351
0.149 0.107 0.851
0.064 0.280 0.592
0.282 0.728 0.604
0.502 0.308 0.906
0.308 0.502 0.406
0.720 0.936 0.908
0.382 0.214 0.530
0.648 0.132 0.649
0.132 0.648 0.149
0.498 0.692 0.094
0.214 0.382 0.030
0.936 0.720 0.408
0.868 0.352 0.851
0.107 0.149 0.351
0.692 0.498 0.594
0.272 0.718 0.896
0.893 0.851 0.649
0.618 0.786 0.470
0.280 0.064 0.092



Record 6
Li5V3P8O29 (GGA+U, relaxed); energy relative to the lowest polymorph listed for this composition = 0.3 kJ per mole of atoms; crystal system = triclinic; calculated total energy = -632.71 eV/cell; energy of formation = -2.62 eV/atom
1.0
9.784 0.000 0.000
-4.885 8.481 0.000
-0.040 -0.027 13.990
Li V P O
10 6 16 58
direct
0.770 0.663 0.561
0.905 0.239 0.561
0.772 0.090 0.058
0.320 0.226 0.060
0.667 0.903 0.441
0.337 0.102 0.561
0.685 0.771 0.938
0.224 0.903 0.941
0.096 0.325 0.938
0.040 0.012 0.502
0.566 0.000 0.249
0.430 0.999 0.749
0.568 0.566 0.749
0.432 0.437 0.254
0.000 0.568 0.251
0.000 0.436 0.749
0.916 0.685 0.843
0.774 0.688 0.339
0.913 0.227 0.344
0.666 0.334 0.130
0.665 0.332 0.626
0.768 0.088 0.841
0.684 0.912 0.658
0.320 0.233 0.844
0.681 0.769 0.155
0.315 0.090 0.343
0.228 0.910 0.161
0.333 0.668 0.372
0.335 0.667 0.871
0.083 0.775 0.656
0.224 0.309 0.659
0.087 0.317 0.159
0.997 0.793 0.572
0.915 0.659 0.336
0.751 0.756 0.064
0.747 0.661 0.840
0.907 0.524 0.822
0.815 0.478 0.179
0.912 0.383 0.328
0.999 0.239 0.069
0.917 0.253 0.842
0.680 0.489 0.667
0.617 0.529 0.327
0.809 0.319 0.667
0.668 0.335 0.024
0.664 0.331 0.519
0.670 0.184 0.169
0.481 0.381 0.823
0.516 0.334 0.171
0.743 0.083 0.337
0.792 0.999 0.751
0.773 0.998 0.569
0.753 0.998 0.930
0.618 0.099 0.821
0.509 0.189 0.667
0.662 0.917 0.159
0.470 0.089 0.331
0.344 0.260 0.330
0.793 0.793 0.247
0.774 0.773 0.429
0.208 0.202 0.578
0.663 0.744 0.659
0.527 0.908 0.670
0.336 0.084 0.843
0.487 0.813 0.334
0.380 0.902 0.179
0.240 0.998 0.071
0.228 0.021 0.433
0.205 0.998 0.251
0.255 0.918 0.661
0.488 0.674 0.829
0.522 0.619 0.179
0.327 0.814 0.831
0.337 0.668 0.978
0.331 0.658 0.477
0.186 0.667 0.325
0.381 0.464 0.668
0.331 0.517 0.324
0.083 0.742 0.165
0.000 0.794 0.751
0.006 0.765 0.930
0.083 0.620 0.666
0.188 0.513 0.831
0.094 0.476 0.177
0.255 0.338 0.159
0.247 0.248 0.935
0.203 0.212 0.758
0.082 0.339 0.661
0.989 0.219 0.435
0.001 0.207 0.251



Record 7
Li3V3P4O16 (GGA+U, relaxed); energy relative to the lowest polymorph listed for this composition = 3.9 kJ per mole of atoms; crystal system = triclinic; calculated total energy = -374.27 eV/cell; energy of formation = -2.67 eV/atom
1.0
8.564 0.000 0.000
-1.915 8.908 0.000
-3.879 -3.132 7.690
Li V P O
6 6 8 32
direct
0.798 0.535 0.990
0.809 0.163 0.051
0.590 0.307 0.121
0.410 0.693 0.879
0.191 0.837 0.949
0.202 0.465 0.010
0.002 0.804 0.502
0.357 0.813 0.382
0.289 0.262 0.222
0.711 0.738 0.778
0.643 0.187 0.618
0.998 0.196 0.498
0.563 0.630 0.331
0.018 0.925 0.194
0.555 0.028 0.228
0.048 0.471 0.304
0.952 0.529 0.696
0.445 0.972 0.772
0.982 0.075 0.806
0.437 0.370 0.669
0.833 0.791 0.048
0.456 0.874 0.071
0.847 0.417 0.159
0.395 0.666 0.209
0.735 0.710 0.323
0.177 0.863 0.197
0.511 0.445 0.262
0.758 0.112 0.278
0.160 0.420 0.215
0.448 0.145 0.196
0.573 0.707 0.510
0.031 0.961 0.376
0.133 0.663 0.390
0.929 0.610 0.564
0.049 0.089 0.170
0.436 0.997 0.602
0.564 0.003 0.398
0.951 0.911 0.830
0.071 0.390 0.436
0.867 0.337 0.610
0.969 0.039 0.624
0.427 0.293 0.490
0.552 0.855 0.804
0.840 0.580 0.785
0.242 0.888 0.722
0.489 0.555 0.738
0.823 0.137 0.803
0.265 0.290 0.677
0.605 0.334 0.791
0.153 0.583 0.841
0.544 0.126 0.929
0.167 0.209 0.952